Entry 1:
The following is a PBE calculation of crystalline Sr2PrBiO6 at its relaxed geometry, from the Materials Project database.

The value obtained for the calculated formation energy is -2.627 eV per atom. The uncorrected energy comes out at -6.388 eV/atom. The calculation puts the total moment at 0.00 μB/atom.

Structure (POSCAR):
```
Sr2PrBiO6
1.0
0.000 4.404 4.404
4.404 0.000 4.404
4.404 4.404 0.000
Sr Pr Bi O
2 1 1 6
Cartesian
2.202 2.202 2.202
6.606 6.606 6.606
0.000 0.000 0.000
4.404 4.404 4.404
4.404 4.404 2.298
4.404 2.298 4.404
6.510 4.404 4.404
2.298 4.404 4.404
4.404 6.510 4.404
4.404 4.404 6.510
```

=====

Entry 2:
The following is a PBE calculation of crystalline TbOs2 at its relaxed geometry, from the Materials Project database.

The value obtained for the calculated formation energy is -0.284 eV per atom. The uncorrected energy comes out at -9.314 eV/atom.

Structure (POSCAR):
```
TbOs2
1.0
5.339 0.000 0.000
-2.670 4.624 0.000
0.000 0.000 8.852
Tb Os
4 8
Cartesian
0.000 3.083 0.579
0.000 3.083 3.848
2.670 1.541 5.005
2.670 1.541 8.274
0.000 0.000 0.000
0.000 0.000 4.426
0.000 1.596 6.639
-1.288 3.826 6.639
1.382 0.798 2.213
1.288 3.826 6.639
3.957 0.798 2.213
2.670 3.028 2.213
```

=====

Entry 3:
The following is a PBE calculation of crystalline ErP at its relaxed geometry, from the Materials Project database.

The value obtained for the calculated formation energy is -1.055 eV per atom. The uncorrected energy comes out at -6.046 eV/atom. The calculation puts the total moment at 0.00 μB/atom.

Structure (POSCAR):
```
ErP
1.0
3.437 0.000 0.000
0.000 3.437 0.000
0.000 0.000 3.437
Er P
1 1
Cartesian
0.000 0.000 0.000
1.718 1.718 1.718
```

=====

Entry 4:
The following is a PBE calculation of crystalline PrAu at its relaxed geometry, from the Materials Project database.

The value obtained for the calculated formation energy is -0.794 eV per atom. The uncorrected energy comes out at -4.821 eV/atom.

Structure (POSCAR):
```
PrAu
1.0
7.593 0.000 0.000
0.000 4.834 0.000
0.000 0.000 5.922
Pr Au
4 4
Cartesian
1.421 1.208 0.854
2.375 3.625 3.815
5.217 1.208 2.107
6.172 3.625 5.068
0.322 1.208 3.850
3.474 3.625 0.889
4.118 1.208 5.033
7.271 3.625 2.072
```

=====

Entry 5:
The following is a PBE calculation of crystalline Ac3Cl at its relaxed geometry, from the Materials Project database.

The value obtained for the calculated formation energy is -0.279 eV per atom. The uncorrected energy comes out at -3.679 eV/atom. The calculation puts the total moment at 0.00 μB/atom.

Structure (POSCAR):
```
Ac3Cl
1.0
7.919 0.000 0.000
-3.959 6.858 0.000
0.000 0.000 5.720
Ac Cl
6 2
Cartesian
0.000 2.349 1.430
-1.925 5.683 1.430
2.034 1.175 4.290
1.925 5.683 1.430
5.884 1.175 4.290
3.959 4.509 4.290
0.000 4.572 4.290
3.959 2.286 1.430
```

=====

Entry 6:
The following is a PBE calculation of crystalline Li3BiS3 at its relaxed geometry, from the Materials Project database.

The value obtained for the calculated formation energy is -1.115 eV per atom. The uncorrected energy comes out at -4.046 eV/atom. The calculation puts the total moment at 0.00 μB/atom. The value obtained for the energy above the most stable polymorph in this dataset is 0.48 eV per formula unit.

Structure (POSCAR):
```
Li3BiS3
1.0
5.876 0.000 0.000
0.000 16.141 0.000
-5.787 0.000 6.018
Li Bi S
12 4 12
Cartesian
-0.191 3.094 1.060
-3.084 4.976 4.069
-4.031 1.141 5.461
-1.137 6.929 2.452
0.177 11.115 1.612
-2.716 13.097 4.621
2.806 3.044 1.396
-0.088 5.026 4.405
1.227 9.212 3.566
4.120 15.000 0.557
3.174 11.165 1.949
0.280 13.047 4.958
-1.266 1.423 3.534
1.628 6.648 0.525
-1.538 9.494 5.493
1.355 14.719 2.484
-4.330 3.973 5.767
-1.437 4.097 2.758
-1.302 9.393 2.875
-4.195 14.819 5.884
1.582 9.516 0.041
-1.312 14.697 3.050
1.401 1.445 2.968
-1.492 6.626 5.977
4.285 1.322 0.133
1.391 6.749 3.142
1.527 12.044 3.260
4.420 12.168 0.251
```

=====

Entry 7:
The following is a PBE calculation of crystalline SmB4Rh4 at its relaxed geometry, from the Materials Project database.

The value obtained for the calculated formation energy is -0.561 eV per atom. The uncorrected energy comes out at -7.327 eV/atom.

Structure (POSCAR):
```
SmB4Rh4
1.0
5.367 0.000 0.000
0.000 5.367 0.000
0.000 0.000 7.520
Sm B Rh
2 8 8
Cartesian
1.342 4.025 1.880
4.025 1.342 5.640
0.437 1.342 0.746
1.342 0.437 4.506
1.342 2.246 4.506
2.246 1.342 0.746
3.120 4.025 6.773
4.025 3.120 3.014
4.025 4.930 3.014
4.930 4.025 6.773
0.006 4.025 4.557
1.342 2.689 6.722
1.342 5.360 6.722
2.677 4.025 4.557
2.689 1.342 2.963
4.025 0.006 0.797
4.025 2.677 0.797
5.360 1.342 2.963
```

=====

Entry 8:
The following is a PBE calculation of crystalline Sr3Hg at its relaxed geometry, from the Materials Project database.

The value obtained for the calculated formation energy is -0.277 eV per atom. The uncorrected energy comes out at -1.620 eV/atom. The value obtained for the energy above the most stable polymorph in this dataset is 0.00 eV per formula unit.

Structure (POSCAR):
```
Sr3Hg
1.0
8.441 0.000 0.000
0.000 11.244 0.000
0.000 0.000 7.516
Sr Hg
12 4
Cartesian
0.310 2.811 1.128
1.506 0.741 4.992
1.506 4.882 4.992
2.715 6.363 1.233
2.715 10.504 1.233
3.910 8.433 4.886
4.530 2.811 2.630
5.726 0.741 6.283
5.726 4.882 6.283
6.935 6.363 2.525
6.935 10.504 2.525
8.131 8.433 6.388
1.019 8.433 3.345
3.201 2.811 7.103
5.239 8.433 0.413
7.422 2.811 4.171
```

=====

Entry 9:
The following is a PBE calculation of crystalline DyFeNi at its relaxed geometry, from the Materials Project database.

The value obtained for the calculated formation energy is -0.206 eV per atom. The uncorrected energy comes out at -6.492 eV/atom. The calculation puts the total moment at 0.66 μB/atom.

Structure (POSCAR):
```
DyFeNi
1.0
-2.378 2.554 3.735
2.378 -2.554 3.735
2.378 2.554 -3.735
Dy Fe Ni
2 2 2
Cartesian
0.000 1.277 0.894
2.378 1.277 2.841
1.189 1.277 -1.868
1.189 -1.277 1.868
2.378 0.000 0.000
0.000 0.000 3.735
```

=====

Entry 10:
The following is a PBE calculation of crystalline Mg11Cu2O13 at its relaxed geometry, from the Materials Project database.

The value obtained for the calculated formation energy is -2.683 eV per atom. The uncorrected energy comes out at -5.806 eV/atom. The calculation puts the total moment at 0.02 μB/atom.

Structure (POSCAR):
```
Mg11Cu2O13
1.0
-1.514 2.127 19.470
1.514 -2.127 19.470
1.514 2.127 -19.470
Mg Cu O
11 2 13
Cartesian
0.000 0.000 0.000
0.000 0.000 2.996
0.000 0.000 8.988
0.000 0.000 11.994
0.000 0.000 14.963
0.000 0.000 17.969
0.000 0.000 20.970
0.000 0.000 23.976
0.000 0.000 26.945
0.000 0.000 29.951
0.000 0.000 35.944
0.000 0.000 5.990
0.000 0.000 32.949
1.514 0.000 1.495
1.514 0.000 4.439
1.514 0.000 7.543
1.514 0.000 10.489
1.514 0.000 13.478
1.514 0.000 16.472
0.000 2.127 0.000
0.000 2.127 2.998
0.000 2.127 5.991
0.000 2.127 8.980
0.000 2.127 11.927
0.000 2.127 15.031
0.000 2.127 17.975
```

=====

Entry 11:
The following is a PBE calculation of crystalline KZrSnBiO6 at its relaxed geometry, from the Materials Project database.

The value obtained for the calculated formation energy is -2.307 eV per atom. The uncorrected energy comes out at -6.619 eV/atom. The calculation puts the total moment at 0.00 μB/atom.

Structure (POSCAR):
```
KZrSnBiO6
1.0
0.000 4.139 4.139
4.139 0.000 4.139
4.139 4.139 0.000
K Zr Sn Bi O
1 1 1 1 6
Cartesian
0.000 0.000 0.000
6.209 6.209 6.209
2.070 2.070 2.070
4.139 4.139 4.139
2.070 2.070 0.018
2.070 0.018 2.070
4.121 2.070 2.070
0.018 2.070 2.070
2.070 4.121 2.070
2.070 2.070 4.121
```

=====

Entry 12:
The following is a PBE calculation of crystalline Cs3Hf2P5S18 at its relaxed geometry, from the Materials Project database.

The value obtained for the calculated formation energy is -1.128 eV per atom. The uncorrected energy comes out at -5.238 eV/atom.

Structure (POSCAR):
```
Cs3Hf2P5S18
1.0
4.833 -5.091 0.000
4.833 5.091 0.000
-2.826 0.000 34.480
Cs Hf P S
6 4 10 36
Cartesian
3.420 4.094 17.240
1.521 1.457 30.683
2.933 1.115 24.275
2.934 -1.457 13.443
4.346 -1.115 7.035
4.833 -4.094 0.000
4.560 4.189 9.979
4.097 2.977 3.442
2.684 -2.977 20.682
3.147 -4.189 27.219
1.455 1.848 10.644
4.579 3.572 6.697
4.004 2.581 12.834
5.659 2.262 0.586
0.042 -1.848 27.884
4.830 0.296 20.030
6.243 -0.296 2.790
2.590 -2.581 30.074
4.246 -2.262 17.826
3.166 -3.572 23.937
-0.414 1.134 22.362
4.066 4.598 12.504
1.899 2.011 12.725
3.025 2.565 5.807
3.651 2.474 0.919
2.848 3.324 27.740
0.999 -1.134 5.122
2.155 0.026 10.003
0.742 -0.026 27.243
6.409 3.212 2.233
3.593 2.778 33.311
5.508 2.511 8.197
4.569 1.860 14.584
4.965 1.889 11.165
4.829 2.319 20.194
4.648 0.454 3.836
0.486 -2.011 29.965
3.235 -0.454 21.076
1.611 -2.565 23.047
6.095 0.138 0.700
2.238 -2.474 18.159
5.516 1.623 26.816
4.682 -0.138 17.940
3.156 -1.860 31.824
3.552 -1.889 28.405
8.082 0.334 3.433
4.261 -3.324 10.500
4.095 -2.511 25.437
6.669 -0.334 20.673
6.242 -2.319 2.954
5.006 -2.778 16.071
6.930 -1.623 9.576
8.819 0.185 7.698
2.653 -4.598 29.744
7.405 -0.185 24.938
4.996 -3.212 19.473
```

=====

Entry 13:
The following is a PBE calculation of crystalline Tb12FeCoBi4 at its relaxed geometry, from the Materials Project database.

The value obtained for the calculated formation energy is -0.434 eV per atom. The uncorrected energy comes out at -5.253 eV/atom. The calculation puts the total moment at 0.06 μB/atom.

Structure (POSCAR):
```
Tb12FeCoBi4
1.0
8.382 0.000 0.000
0.000 4.159 0.000
-0.097 0.000 14.662
Tb Fe Co Bi
12 1 1 4
Cartesian
0.000 0.000 0.000
-0.038 0.000 5.865
0.225 2.079 2.937
1.436 2.079 12.005
1.499 2.079 8.588
3.396 0.000 2.921
4.132 0.000 7.351
4.103 0.000 13.170
4.358 2.079 10.271
5.717 2.079 4.648
5.759 2.079 1.251
7.523 0.000 10.235
2.362 0.000 10.352
6.564 0.000 3.026
2.511 2.079 0.482
2.500 2.079 5.359
6.635 2.079 7.813
6.620 2.079 12.686
```

=====

Entry 14:
The following is a PBE calculation of crystalline BeGaH5 at its relaxed geometry, from the Materials Project database.

The value obtained for the calculated formation energy is -0.051 eV per atom. The uncorrected energy comes out at -3.313 eV/atom. The calculation puts the total moment at 0.00 μB/atom.

Structure (POSCAR):
```
BeGaH5
1.0
8.532 0.000 0.000
0.000 6.213 0.000
-7.550 0.000 15.019
Be Ga H
8 8 40
Cartesian
-3.126 0.572 7.007
-6.901 2.535 14.516
-5.082 0.843 14.563
-1.308 2.263 7.054
2.290 3.950 7.965
6.065 5.370 0.456
7.883 3.679 0.503
4.108 5.642 8.012
-4.645 4.026 10.218
-0.870 5.294 2.708
-2.552 0.585 13.241
1.223 2.522 5.732
-0.240 3.691 9.287
3.535 5.629 1.778
1.853 0.920 12.310
5.627 2.187 4.801
-5.611 4.488 11.340
-1.836 4.832 3.830
-6.983 3.983 14.755
-3.208 5.337 7.245
-0.430 3.861 1.921
-4.205 5.459 9.430
-5.739 0.146 13.481
-1.964 2.961 5.971
-3.386 3.146 10.324
0.389 6.174 2.815
-1.941 1.102 7.617
1.834 2.005 0.107
-1.302 3.351 8.015
2.473 5.969 0.505
0.718 3.848 5.115
-3.057 5.472 12.624
-3.757 1.295 14.210
0.018 1.812 6.701
2.912 4.401 2.474
-0.863 4.919 9.984
1.845 1.294 5.035
-1.930 1.812 12.545
0.964 4.402 8.318
4.739 4.918 0.809
4.039 0.741 2.395
0.264 2.366 9.904
-1.490 0.245 14.514
2.284 2.862 7.004
-0.852 4.209 14.912
2.923 5.112 7.402
0.593 0.039 12.204
4.368 3.067 4.695
2.946 3.252 9.048
6.721 6.068 1.538
5.187 0.755 5.588
1.412 2.352 13.098
4.190 0.877 7.774
7.965 2.230 0.264
2.818 1.382 11.188
6.593 1.725 3.679
```

=====

Entry 15:
The following is a PBE calculation of crystalline K2Mg2Si2O7 at its relaxed geometry, from the Materials Project database.

The value obtained for the calculated formation energy is -2.937 eV per atom. The uncorrected energy comes out at -6.483 eV/atom. The calculation puts the total moment at 0.00 μB/atom.

Structure (POSCAR):
```
K2Mg2Si2O7
1.0
5.148 0.000 0.000
-2.574 4.458 0.000
0.000 0.000 6.661
K Mg Si O
2 2 2 7
Cartesian
0.000 2.972 0.000
2.574 1.486 0.000
0.000 2.972 3.330
2.574 1.486 3.330
0.000 0.000 1.716
0.000 0.000 4.944
0.000 0.000 0.000
-0.798 1.382 2.122
-1.776 3.076 4.538
1.596 0.000 2.122
0.798 1.382 4.538
3.552 0.000 4.538
1.776 3.076 2.122
```